Model w:
A plane-wave DFT calculation with PBE was carried out for a geometry-optimized K2AlB5O14 structure.

Summary:
M_tot = 0.09 μB/atom
ρ = 2.0 g/cm³

Unit cell a=9.693 b=10.139 c=12.966 alpha=90.00 beta=90.00 gamma=90.00
Space group C222_1 (No. 20)
Symmetry-distinct sites (fractional):
K1 0.219 0.188 0.400 (multiplicity 8)
Al1 0.000 0.109 0.750 (multiplicity 4)
B1 0.084 0.319 0.620 (multiplicity 8)
B2 0.163 0.500 0.500 (multiplicity 4)
B3 0.236 0.029 0.177 (multiplicity 8)
O1 0.000 0.311 0.250 (multiplicity 4)
O2 0.003 0.213 0.639 (multiplicity 8)
O3 0.010 0.000 0.500 (multiplicity 4)
O4 0.063 0.377 0.178 (multiplicity 8)
O5 0.076 0.385 0.528 (multiplicity 8)
O6 0.146 0.006 0.747 (multiplicity 8)
O7 0.180 0.360 0.695 (multiplicity 8)
O8 0.249 0.041 0.912 (multiplicity 8)


Model x:
A plane-wave DFT calculation with PBE was carried out for a geometry-optimized K2AlB5O14 structure.

Summary:
M_tot = 0.27 μB/atom
ρ = 1.9 g/cm³

Unit cell a=7.010 b=13.422 c=7.035 alpha=90.00 beta=90.35 gamma=90.00
Space group P2_1 (No. 4)
Symmetry-distinct sites (fractional):
K1 0.023 0.000 0.404 (multiplicity 2)
K2 0.415 0.213 0.053 (multiplicity 2)
Al1 0.121 0.861 0.882 (multiplicity 2)
B1 0.207 0.786 0.252 (multiplicity 2)
B2 0.231 0.733 0.584 (multiplicity 2)
B3 0.250 0.437 0.204 (multiplicity 2)
B4 0.323 0.611 0.318 (multiplicity 2)
B5 0.417 0.990 0.769 (multiplicity 2)
O1 0.019 0.110 0.018 (multiplicity 2)
O2 0.127 0.363 0.160 (multiplicity 2)
O3 0.158 0.859 0.130 (multiplicity 2)
O4 0.182 0.805 0.448 (multiplicity 2)
O5 0.192 0.528 0.274 (multiplicity 2)
O6 0.218 0.753 0.772 (multiplicity 2)
O7 0.229 0.969 0.786 (multiplicity 2)
O8 0.255 0.244 0.566 (multiplicity 2)
O9 0.281 0.696 0.195 (multiplicity 2)
O10 0.286 0.319 0.663 (multiplicity 2)
O11 0.288 0.640 0.521 (multiplicity 2)
O12 0.445 0.418 0.184 (multiplicity 2)
O13 0.452 0.541 0.722 (multiplicity 2)
O14 0.476 0.082 0.708 (multiplicity 2)


The structure with the most favorable energy is model x; the runner-up is 4.4 kJ/mol of atoms above it.


Model w:
A plane-wave DFT calculation with PBE was carried out for a geometry-optimized BaAl2H10C2O13 structure.

Summary:
M_tot = 0.00 μB/atom
ρ = 2.7 g/cm³

Unit cell a=5.679 b=9.984 c=10.691 alpha=115.52 beta=95.63 gamma=92.73
Space group P-1 (No. 2)
Symmetry-distinct sites (fractional):
Ba1 0.211 0.144 0.192 (multiplicity 2)
Al1 0.000 0.000 0.500 (multiplicity 1)
Al2 0.000 0.500 0.500 (multiplicity 1)
Al3 0.500 0.000 0.500 (multiplicity 1)
Al4 0.500 0.500 0.500 (multiplicity 1)
H1 0.053 0.202 0.917 (multiplicity 2)
H2 0.114 0.523 0.212 (multiplicity 2)
H3 0.159 0.762 0.986 (multiplicity 2)
H4 0.195 0.795 0.312 (multiplicity 2)
H5 0.223 0.397 0.901 (multiplicity 2)
H6 0.241 0.293 0.512 (multiplicity 2)
H7 0.252 0.694 0.458 (multiplicity 2)
H8 0.298 0.202 0.666 (multiplicity 2)
H9 0.333 0.582 0.165 (multiplicity 2)
H10 0.433 0.329 0.956 (multiplicity 2)
C1 0.286 0.952 0.716 (multiplicity 2)
C2 0.313 0.608 0.771 (multiplicity 2)
O1 0.044 0.838 0.034 (multiplicity 2)
O2 0.075 0.964 0.662 (multiplicity 2)
O3 0.094 0.579 0.707 (multiplicity 2)
O4 0.162 0.588 0.169 (multiplicity 2)
O5 0.222 0.867 0.411 (multiplicity 2)
O6 0.233 0.361 0.467 (multiplicity 2)
O7 0.256 0.614 0.488 (multiplicity 2)
O8 0.273 0.146 0.563 (multiplicity 2)
O9 0.305 0.924 0.822 (multiplicity 2)
O10 0.328 0.317 0.871 (multiplicity 2)
O11 0.351 0.661 0.905 (multiplicity 2)
O12 0.478 0.966 0.662 (multiplicity 2)
O13 0.494 0.582 0.701 (multiplicity 2)


Model x:
A plane-wave DFT calculation with PBE was carried out for a geometry-optimized BaAl2H10C2O13 structure.

Summary:
M_tot = 0.07 μB/atom
ρ = 2.0 g/cm³

Unit cell a=5.515 b=11.808 c=12.310 alpha=113.85 beta=93.51 gamma=97.44
Space group P-1 (No. 2)
Symmetry-distinct sites (fractional):
Ba1 0.210 0.353 0.204 (multiplicity 2)
Al1 0.000 0.500 0.000 (multiplicity 1)
Al2 0.000 0.500 0.500 (multiplicity 1)
Al3 0.500 0.500 0.000 (multiplicity 1)
Al4 0.500 0.500 0.500 (multiplicity 1)
H1 0.110 0.839 0.309 (multiplicity 2)
H2 0.159 0.775 0.391 (multiplicity 2)
H3 0.208 0.450 0.890 (multiplicity 2)
H4 0.214 0.896 0.742 (multiplicity 2)
H5 0.232 0.046 0.588 (multiplicity 2)
H6 0.239 0.394 0.609 (multiplicity 2)
H7 0.302 0.730 0.151 (multiplicity 2)
H8 0.397 0.174 0.651 (multiplicity 2)
H9 0.400 0.021 0.413 (multiplicity 2)
H10 0.450 0.090 0.439 (multiplicity 2)
C1 0.326 0.744 0.649 (multiplicity 2)
C2 0.352 0.733 0.998 (multiplicity 2)
O1 0.001 0.997 0.868 (multiplicity 2)
O2 0.101 0.691 0.615 (multiplicity 2)
O3 0.139 0.100 0.909 (multiplicity 2)
O4 0.225 0.133 0.641 (multiplicity 2)
O5 0.242 0.511 0.411 (multiplicity 2)
O6 0.242 0.769 0.100 (multiplicity 2)
O7 0.245 0.810 0.342 (multiplicity 2)
O8 0.256 0.470 0.595 (multiplicity 2)
O9 0.261 0.528 0.102 (multiplicity 2)
O10 0.280 0.766 0.918 (multiplicity 2)
O11 0.372 0.868 0.724 (multiplicity 2)
O12 0.479 0.336 0.011 (multiplicity 2)
O13 0.483 0.306 0.379 (multiplicity 2)


The structure with the most favorable energy is model w; the runner-up is 38.4 kJ/mol of atoms above it.